Entry 1:
Density functional theory data (GGA-PBE) for crystalline DyCo2 at its relaxed geometry.

Lattice parameters (Å, degrees): 5.068 5.068 5.068 60.00 60.00 60.00
Fractional coordinates of all 6 atoms:
Dy  0.250  0.250  0.250
Dy  0.000  0.000  0.000
Co  0.625  0.625  0.125
Co  0.625  0.125  0.625
Co  0.125  0.625  0.625
Co  0.625  0.625  0.625

Summary:
Its space-group type is Fd-3m.

***

Entry 2:
Density functional theory data (GGA-PBE) for crystalline Dy2Co7 at its relaxed geometry.

Lattice parameters (Å, degrees): 4.948 4.948 12.397 78.49 78.49 60.00
Fractional coordinates of all 18 atoms:
Dy  0.948  0.948  0.155
Dy  0.052  0.052  0.845
Dy  0.852  0.852  0.445
Dy  0.148  0.148  0.555
Co  0.500  0.500  0.500
Co  0.721  0.721  0.836
Co  0.279  0.279  0.164
Co  0.612  0.612  0.165
Co  0.388  0.388  0.835
Co  0.000  0.500  0.000
Co  0.500  0.000  0.000
Co  0.500  0.500  0.000
Co  0.391  0.391  0.327
Co  0.891  0.391  0.327
Co  0.391  0.891  0.327
Co  0.609  0.609  0.673
Co  0.109  0.609  0.673
Co  0.609  0.109  0.673

Summary:
Its space-group type is R-3m.

***

Entry 3:
Density functional theory data (GGA-PBE) for crystalline Dy3Co at its relaxed geometry.

Lattice parameters (Å, degrees): 6.223 6.903 9.388 90.00 90.00 90.00
Fractional coordinates of all 16 atoms:
Dy  0.139  0.456  0.750
Dy  0.676  0.323  0.933
Dy  0.361  0.956  0.750
Dy  0.861  0.544  0.250
Dy  0.639  0.044  0.250
Dy  0.176  0.177  0.433
Dy  0.824  0.823  0.567
Dy  0.176  0.177  0.067
Dy  0.824  0.823  0.933
Dy  0.676  0.323  0.567
Dy  0.324  0.677  0.067
Dy  0.324  0.677  0.433
Co  0.547  0.609  0.750
Co  0.953  0.109  0.750
Co  0.047  0.891  0.250
Co  0.453  0.391  0.250

Summary:
Its space-group type is Pnma.

***

Entry 4:
Density functional theory data (GGA-PBE) for crystalline Dy2Co17 at its relaxed geometry.

Lattice parameters (Å, degrees): 8.300 8.300 8.105 90.00 90.00 120.00
Fractional coordinates of all 38 atoms:
Dy  0.333  0.667  0.750
Dy  0.000  0.000  0.250
Dy  0.667  0.333  0.250
Dy  0.000  0.000  0.750
Co  0.624  0.953  0.250
Co  0.671  0.624  0.750
Co  0.500  0.000  0.000
Co  0.667  0.333  0.607
Co  0.329  0.376  0.250
Co  0.167  0.334  0.520
Co  0.334  0.167  0.020
Co  0.833  0.666  0.480
Co  0.047  0.376  0.250
Co  0.329  0.953  0.250
Co  0.047  0.671  0.250
Co  0.833  0.167  0.020
Co  0.333  0.667  0.393
Co  0.624  0.671  0.250
Co  0.666  0.833  0.980
Co  0.167  0.833  0.980
Co  0.167  0.833  0.520
Co  0.666  0.833  0.520
Co  0.333  0.667  0.107
Co  0.500  0.000  0.500
Co  0.376  0.329  0.750
Co  0.500  0.500  0.000
Co  0.671  0.047  0.750
Co  0.376  0.047  0.750
Co  0.167  0.334  0.980
Co  0.667  0.333  0.893
Co  0.833  0.167  0.480
Co  0.833  0.666  0.020
Co  0.000  0.500  0.000
Co  0.953  0.329  0.750
Co  0.953  0.624  0.750
Co  0.000  0.500  0.500
Co  0.334  0.167  0.480
Co  0.500  0.500  0.500

Summary:
Its space-group type is P6_3/mmc.

***

Entry 5:
Density functional theory data (GGA-PBE) for crystalline DyGaFeCo3 at its relaxed geometry.

Lattice parameters (Å, degrees): 4.009 4.918 5.026 61.42 90.00 90.00
Fractional coordinates of all 6 atoms:
Dy  0.000  0.500  0.500
Ga  0.500  0.000  0.500
Fe  0.500  0.500  0.000
Co  0.000  0.826  0.848
Co  0.000  0.174  0.152
Co  0.500  0.000  0.000

Summary:
Its space-group type is P2/m.

***

Entry 6:
Density functional theory data (GGA-PBE) for crystalline TbDy3Fe4Co4 at its relaxed geometry.

Lattice parameters (Å, degrees): 5.102 5.257 8.718 72.45 90.82 121.01
Fractional coordinates of all 12 atoms:
Tb  0.500  0.002  0.497
Dy  0.871  0.749  0.374
Dy  0.375  0.748  0.878
Dy  0.004  0.001  0.001
Fe  0.187  0.374  0.439
Fe  0.688  0.376  0.936
Fe  0.938  0.375  0.187
Fe  0.437  0.375  0.688
Co  0.438  0.375  0.187
Co  0.937  0.375  0.688
Co  0.438  0.875  0.187
Co  0.937  0.875  0.688

Summary:
Its space-group type is Cm.

***

Number 1: E_form -4.7 kcal/mol of atoms. Number 2: E_form -3.5 kcal/mol of atoms. Number 3: E_form -3.6 kcal/mol of atoms. Number 4: E_form -2.2 kcal/mol of atoms. Number 5: E_form -5.8 kcal/mol of atoms. Number 6: E_form -3.6 kcal/mol of atoms.